1.
## NiF2 (r2SCAN)

Data for a geometry-optimized NiF2 structure.

## Properties
- symmetry = P4_2/mnm (136)
- calculated volume (Å³ per cell) = 66.10

Cell lengths 3.080, 4.633, 4.633 Å; angles 90.00, 90.00, 90.00 degrees
Fractional coordinates of all 6 atoms:
1 Ni 0.500 0.500 0.500
2 Ni 0.000 0.000 0.000
3 F 0.000 0.696 0.696
4 F 0.500 0.804 0.196
5 F 0.000 0.304 0.304
6 F 0.500 0.196 0.804

2.
## K3HS3O11 (r2SCAN)

Data for a geometry-optimized K3HS3O11 structure.

## Properties
- symmetry = P2_1/c (14)
- calculated volume (Å³ per cell) = 1029.86

Cell lengths 8.146, 9.647, 13.202 Å; angles 83.03, 90.00, 90.00 degrees
Fractional coordinates of all 72 atoms:
1 K 0.360 0.291 0.170
2 K 0.860 0.209 0.830
3 K 0.640 0.709 0.830
4 K 0.140 0.791 0.170
5 K 0.886 0.148 0.188
6 K 0.386 0.352 0.812
7 K 0.114 0.852 0.812
8 K 0.614 0.648 0.188
9 K 0.578 0.268 0.438
10 K 0.078 0.232 0.562
11 K 0.422 0.732 0.562
12 K 0.922 0.768 0.438
13 H 0.587 0.101 0.005
14 H 0.087 0.399 0.995
15 H 0.413 0.899 0.995
16 H 0.913 0.601 0.005
17 S 0.748 0.920 0.012
18 S 0.248 0.580 0.988
19 S 0.252 0.080 0.988
20 S 0.752 0.420 0.012
21 S 0.228 0.011 0.399
22 S 0.728 0.489 0.601
23 S 0.772 0.989 0.601
24 S 0.272 0.511 0.399
25 S 0.529 0.947 0.291
26 S 0.029 0.553 0.709
27 S 0.471 0.053 0.709
28 S 0.971 0.447 0.291
29 O 0.708 0.079 0.014
30 O 0.208 0.421 0.986
31 O 0.292 0.921 0.986
32 O 0.792 0.579 0.014
33 O 0.591 0.849 0.003
34 O 0.091 0.651 0.997
35 O 0.409 0.151 0.997
36 O 0.909 0.349 0.003
37 O 0.829 0.876 0.108
38 O 0.329 0.624 0.892
39 O 0.171 0.124 0.892
40 O 0.671 0.376 0.108
41 O 0.851 0.912 0.923
42 O 0.351 0.588 0.077
43 O 0.149 0.088 0.077
44 O 0.649 0.412 0.923
45 O 0.125 0.971 0.318
46 O 0.625 0.529 0.682
47 O 0.875 0.029 0.682
48 O 0.375 0.471 0.318
49 O 0.180 0.952 0.500
50 O 0.680 0.548 0.500
51 O 0.820 0.048 0.500
52 O 0.320 0.452 0.500
53 O 0.266 0.159 0.388
54 O 0.766 0.341 0.612
55 O 0.734 0.841 0.612
56 O 0.234 0.659 0.388
57 O 0.407 0.932 0.391
58 O 0.907 0.568 0.609
59 O 0.593 0.068 0.609
60 O 0.093 0.432 0.391
61 O 0.575 0.093 0.275
62 O 0.075 0.407 0.725
63 O 0.425 0.907 0.725
64 O 0.925 0.593 0.275
65 O 0.658 0.853 0.329
66 O 0.158 0.647 0.671
67 O 0.342 0.147 0.671
68 O 0.842 0.353 0.329
69 O 0.436 0.901 0.209
70 O 0.936 0.599 0.791
71 O 0.564 0.099 0.791
72 O 0.064 0.401 0.209

Number 1: energy of formation from the pure elements -2231 meV/atom, DFT total energy -49.851 eV/cell. Number 2: energy of formation from the pure elements -1767 meV/atom, DFT total energy -572.432 eV/cell.